40
Lattice="15.5931 0.0000 0.0000 0.0000 5.5053 0.0000 0.0000 0.0000 5.6104" Properties=species:S:1:pos:R:3 comment="Na3SmTi2Nb2O12 GGA-PBE relaxed" formation_energy_mev_per_atom=-3136 sg="No. 26" pbc="T T T"
Na 0.0000 1.3475 0.0000
Na 0.0000 4.1578 2.8052
Na 3.9426 1.3730 5.3540
Na 3.9426 4.1324 2.5488
Na 11.6505 1.3730 5.3540
Na 11.6505 4.1324 2.5488
Sm 7.7966 1.3237 0.1098
Sm 7.7966 4.1817 2.9150
Ti 5.8002 1.4322 2.7488
Ti 5.8002 4.0731 5.5540
Ti 9.7929 1.4322 2.7488
Ti 9.7929 4.0731 5.5540
Nb 1.9779 1.4000 2.7392
Nb 1.9779 4.1053 5.5445
Nb 13.6152 1.4000 2.7392
Nb 13.6152 4.1053 5.5445
O 0.0000 1.7485 2.5117
O 0.0000 3.7569 5.3169
O 1.6991 0.2320 4.2291
O 1.6991 5.2733 1.4239
O 2.2546 2.5158 0.9674
O 2.2546 2.9895 3.7726
O 3.9573 1.0034 2.6816
O 3.9573 4.5020 5.4868
O 5.6866 2.5144 0.9340
O 5.6866 2.9909 3.7392
O 6.2866 0.2205 4.1585
O 6.2866 5.2849 1.3533
O 7.7966 1.8278 2.4542
O 7.7966 3.6776 5.2594
O 9.3065 0.2205 4.1585
O 9.3065 5.2849 1.3533
O 9.9065 2.5144 0.9340
O 9.9065 2.9909 3.7392
O 11.6358 1.0034 2.6816
O 11.6358 4.5020 5.4868
O 13.3386 2.5158 0.9674
O 13.3386 2.9895 3.7726
O 13.8940 0.2320 4.2291
O 13.8940 5.2733 1.4239